Na2Sm2MgTi3O10 | GGA-PBE | relaxed

Magnetization in Bohr magnetons per cell: 1.8
E_form in eV/atom: -3.107
V in Å³/atom: 13.98
Total energy after the MP2020 corrections in eV per formula unit: -142.773
Uncorrected energy in eV per atom: -7.55

a = 5.4090 Å, b = 5.3987 Å, c = 17.4448 Å
α = 90.00°, β = 98.86°, γ = 90.00°
Closest atoms and distances in Å follow each position.
Space group Cm (No. 8)
Unique sites:
Na (0.0000, 0.0000, 0.0000) [2 per cell]  1 O 2.29
Na (0.0637, 0.5000, 0.1220) [2 per cell]  1 O 2.32
Sm (0.1825, 0.5000, 0.3493) [2 per cell]  4 O 2.41
Sm (0.2661, 0.5000, 0.5916) [2 per cell]  5 O 2.38-2.59
Mg (0.4146, 0.5000, 0.7983) [2 per cell]  4 O 2.12
Ti (0.1277, 0.0000, 0.2357) [2 per cell]  5 O 1.78-1.97
Ti (0.2380, 0.0000, 0.4867) [2 per cell]  6 O 1.89-2.05
Ti (0.4567, 0.0000, 0.8849) [2 per cell]  1 O 1.76
O (0.0097, 0.5000, 0.9872) [2 per cell]  1 Ti 1.76
O (0.0784, 0.0000, 0.1326) [2 per cell]  1 Ti 1.78
O (0.1904, 0.2501, 0.8513) [4 per cell]  2 Ti 2.00, 2 Mg 2.12
O (0.2017, 0.0000, 0.3753) [2 per cell]  1 Ti 1.92
O (0.3350, 0.0000, 0.6050) [2 per cell]  1 Ti 2.05
O (0.3918, 0.2506, 0.2643) [4 per cell]  2 Ti 1.97
O (0.4917, 0.2562, 0.4950) [4 per cell]  2 Ti 1.89-1.94